1.
An optimized crystal structure of Na14Ni2O9. Source: the Materials Project database, functional PBE+U.

ΔE_f ... -1.40 eV/atom
Total moment ... 8.0 μB per cell

Cell lengths 6.6341, 6.6544, 18.7552 Å; angles 89.95, 89.97, 60.15 degrees
Last column: nearest neighbours and their distance in Å.
Space group P-1 (No. 2)
One atom of each set of equivalent atoms:
Na: 0.9999 0.0007 0.1251 [2 per cell]  4 O 2.35-2.39
Na: 0.0000 0.0006 0.6256 [2 per cell]  4 O 2.36-2.40
Na: 0.0357 0.3242 0.4538 [2 per cell]  4 O 2.36-2.44
Na: 0.0356 0.3240 0.9542 [2 per cell]  4 O 2.36-2.44
Na: 0.0649 0.6238 0.2961 [2 per cell]  4 O 2.35-2.40
Na: 0.0674 0.6223 0.7964 [2 per cell]  4 O 2.35-2.44
Na: 0.3112 0.0643 0.7965 [2 per cell]  4 O 2.33-2.41
Na: 0.3117 0.0641 0.2960 [2 per cell]  4 O 2.35-2.41
Na: 0.3245 0.6394 0.4538 [2 per cell]  4 O 2.36-2.45
Na: 0.3265 0.6393 0.9538 [2 per cell]  4 O 2.35-2.46
Na: 0.3608 0.9636 0.5460 [2 per cell]  4 O 2.36-2.44
Na: 0.3618 0.9639 0.0457 [2 per cell]  4 O 2.34-2.45
Na: 0.3781 0.6880 0.7034 [2 per cell]  4 O 2.35-2.41
Na: 0.3788 0.6876 0.2029 [2 per cell]  4 O 2.34-2.40
Ni: 0.3320 0.3328 0.1318 [2 per cell]  4 O 2.05-2.07
Ni: 0.3338 0.3328 0.6304 [2 per cell]  4 O 2.05-2.07
O: 0.0000 0.0000 0.0000 [1 per cell]  8 Na 2.35-2.46
O: 0.0000 0.0000 0.5000 [1 per cell]  8 Na 2.36-2.45
O: 0.0564 0.6413 0.1683 [2 per cell]  1 Ni 2.07
O: 0.0605 0.6350 0.6688 [2 per cell]  1 Ni 2.05
O: 0.3045 0.0596 0.6683 [2 per cell]  1 Ni 2.05
O: 0.3090 0.0542 0.1675 [2 per cell]  1 Ni 2.05
O: 0.3325 0.3336 0.5202 [2 per cell]  1 Ni 2.07
O: 0.3331 0.3331 0.0227 [2 per cell]  1 Ni 2.05
O: 0.3632 0.6967 0.8318 [2 per cell]  1 Ni 2.05
O: 0.3642 0.6960 0.3311 [2 per cell]  1 Ni 2.05


2.
An optimized crystal structure of NaNi2O3. Source: the Materials Project database, functional PBE+U.

ΔE_f ... -1.27 eV/atom
Total moment ... 16.0 μB per cell

Cell lengths 5.3094, 9.0007, 10.0927 Å; angles 90.00, 98.81, 90.00 degrees
Last column: nearest neighbours and their distance in Å.
Space group C2/m (No. 12)
One atom of each set of equivalent atoms:
Na: 0.0000 0.1704 0.0000 [4 per cell]  6 O 2.27-2.34
Na: 0.0000 0.3300 0.5000 [4 per cell]  6 O 2.25-2.32
Ni: 0.0000 0.0000 0.5000 [2 per cell]  6 O 2.00-2.15
Ni: 0.0000 0.5000 0.0000 [2 per cell]  6 O 2.11-2.17
Ni: 0.2430 0.0000 0.2486 [4 per cell]  4 O 1.92
Ni: 0.2491 0.3350 0.2504 [8 per cell]  6 O 2.02-2.15
O: 0.1192 0.1506 0.3570 [8 per cell]  4 Ni 1.92-2.15
O: 0.1191 0.3492 0.8535 [8 per cell]  3 Ni 1.92-2.14
O: 0.1521 0.0000 0.8668 [4 per cell]  4 Ni 2.02-2.24
O: 0.1689 0.5000 0.3752 [4 per cell]  3 Ni 2.00-2.03


> Number 1 is which compound?

Na14Ni2O9